1.
Below is an optimized crystal structure of Na5CaAl5FeSi12O36, with properties calculated at the PBE with a Hubbard U level.

a b c (Å): 6.487 6.487 15.893
angles (deg): 102.68 102.68 84.46
Sites, in units of the cell vectors:
Na: 0.000 0.000 0.000
Na: 0.001 0.997 0.667
Na: 0.003 0.999 0.333
Na: 0.604 0.393 0.165
Na: 0.607 0.396 0.835
Ca: 0.604 0.396 0.500
Al: 0.205 0.793 0.165
Al: 0.207 0.795 0.835
Al: 0.393 0.602 0.329
Al: 0.398 0.607 0.671
Al: 0.399 0.601 0.000
Fe: 0.199 0.801 0.500
Si: 0.105 0.312 0.174
Si: 0.108 0.314 0.843
Si: 0.109 0.323 0.507
Si: 0.498 0.080 0.992
Si: 0.499 0.083 0.663
Si: 0.500 0.076 0.324
Si: 0.677 0.891 0.493
Si: 0.686 0.892 0.157
Si: 0.688 0.895 0.826
Si: 0.917 0.501 0.337
Si: 0.920 0.502 0.008
Si: 0.924 0.500 0.676
O: 0.113 0.657 0.361
O: 0.118 0.663 0.041
O: 0.118 0.663 0.710
O: 0.202 0.074 0.820
O: 0.203 0.073 0.151
O: 0.211 0.094 0.477
O: 0.268 0.509 0.206
O: 0.269 0.513 0.875
O: 0.283 0.505 0.547
O: 0.337 0.882 0.290
O: 0.337 0.882 0.959
O: 0.343 0.887 0.639
O: 0.404 0.320 0.015
O: 0.407 0.325 0.688
O: 0.413 0.319 0.350
O: 0.487 0.731 0.125
O: 0.491 0.732 0.794
O: 0.495 0.717 0.453
O: 0.627 0.067 0.581
O: 0.646 0.059 0.917
O: 0.647 0.055 0.250
O: 0.662 0.040 0.083
O: 0.662 0.040 0.418
O: 0.675 0.593 0.312
O: 0.677 0.041 0.752
O: 0.680 0.596 0.985
O: 0.681 0.587 0.650
O: 0.906 0.789 0.523
O: 0.926 0.798 0.180
O: 0.927 0.797 0.849
O: 0.933 0.373 0.419
O: 0.941 0.354 0.083
O: 0.945 0.353 0.750
O: 0.959 0.323 0.248
O: 0.960 0.338 0.582
O: 0.960 0.338 0.917

Properties
The crystal system is monoclinic. The space-group type is C2 (5).



2.
Below is an optimized crystal structure of Ca2AlFeO5, with properties calculated at the PBE with a Hubbard U level.

a b c (Å): 8.237 8.237 8.237
angles (deg): 57.05 139.62 141.46
Sites, in units of the cell vectors:
Ca: 0.031 0.110 0.141
Ca: 0.031 0.390 0.421
Ca: 0.969 0.610 0.579
Ca: 0.969 0.890 0.859
Al: 0.393 0.721 0.173
Al: 0.548 0.221 0.827
Fe: 0.512 0.012 0.500
Fe: 0.512 0.512 0.000
O: 0.014 0.275 0.767
O: 0.014 0.747 0.239
O: 0.288 0.891 0.897
O: 0.472 0.189 0.577
O: 0.472 0.396 0.783
O: 0.508 0.247 0.233
O: 0.508 0.775 0.761
O: 0.613 0.689 0.217
O: 0.613 0.896 0.423
O: 0.994 0.391 0.103

Properties
The value obtained for the energy above the lowest structure with this stoichiometry is 0.00 eV per formula unit. The crystal system is orthorhombic. The space-group type is Ima2 (46).



3.
Below is an optimized crystal structure of Ca2AlFeO5, with properties calculated at the PBE with a Hubbard U level.

a b c (Å): 5.310 15.043 5.448
angles (deg): 90.00 90.00 90.00
Sites, in units of the cell vectors:
Ca: 0.009 0.105 0.019
Ca: 0.009 0.395 0.019
Ca: 0.491 0.605 0.519
Ca: 0.491 0.895 0.519
Ca: 0.509 0.105 0.481
Ca: 0.509 0.395 0.481
Ca: 0.991 0.605 0.981
Ca: 0.991 0.895 0.981
Al: 0.000 0.000 0.500
Al: 0.000 0.500 0.500
Al: 0.500 0.000 0.000
Al: 0.500 0.500 0.000
Fe: 0.052 0.250 0.561
Fe: 0.448 0.750 0.061
Fe: 0.552 0.250 0.939
Fe: 0.948 0.750 0.439
O: 0.015 0.635 0.558
O: 0.015 0.865 0.558
O: 0.082 0.750 0.108
O: 0.248 0.511 0.248
O: 0.248 0.989 0.248
O: 0.252 0.011 0.748
O: 0.252 0.489 0.748
O: 0.418 0.250 0.608
O: 0.485 0.135 0.058
O: 0.485 0.365 0.058
O: 0.515 0.635 0.942
O: 0.515 0.865 0.942
O: 0.582 0.750 0.392
O: 0.748 0.511 0.252
O: 0.748 0.989 0.252
O: 0.752 0.011 0.752
O: 0.752 0.489 0.752
O: 0.918 0.250 0.892
O: 0.985 0.135 0.442
O: 0.985 0.365 0.442

Properties
The value obtained for the energy above the lowest structure with this stoichiometry is 0.15 eV per formula unit. The crystal system is orthorhombic. The space-group type is Pnma (62).



4.
Below is an optimized crystal structure of Ca8Al3Fe5O20, with properties calculated at the PBE with a Hubbard U level.

a b c (Å): 5.499 8.411 10.718
angles (deg): 108.57 90.01 108.98
Sites, in units of the cell vectors:
Ca: 0.000 0.000 0.000
Ca: 0.000 0.001 0.504
Ca: 0.289 0.577 0.647
Ca: 0.290 0.578 0.146
Ca: 0.542 0.001 0.253
Ca: 0.544 0.000 0.752
Ca: 0.832 0.577 0.894
Ca: 0.834 0.578 0.398
Al: 0.416 0.789 0.458
Al: 0.416 0.789 0.951
Al: 0.916 0.789 0.704
Fe: 0.229 0.289 0.804
Fe: 0.232 0.293 0.306
Fe: 0.601 0.285 0.053
Fe: 0.603 0.288 0.555
Fe: 0.916 0.789 0.205
O: 0.174 0.812 0.586
O: 0.180 0.811 0.833
O: 0.183 0.814 0.081
O: 0.191 0.816 0.340
O: 0.220 0.517 0.894
O: 0.224 0.521 0.401
O: 0.276 0.289 0.624
O: 0.277 0.288 0.123
O: 0.555 0.289 0.374
O: 0.556 0.289 0.873
O: 0.609 0.056 0.028
O: 0.611 0.061 0.536
O: 0.642 0.763 0.327
O: 0.649 0.762 0.068
O: 0.652 0.766 0.822
O: 0.659 0.767 0.575
O: 0.838 0.518 0.646
O: 0.845 0.507 0.149
O: 0.987 0.071 0.289
O: 0.994 0.059 0.782

Properties
The crystal system is triclinic. The space-group type is P1 (1).



5.
Below is an optimized crystal structure of CaAlFe3O7, with properties calculated at the PBE with a Hubbard U level.

a b c (Å): 10.524 10.712 11.978
angles (deg): 94.09 111.22 110.37
Sites, in units of the cell vectors:
Ca: 0.028 0.387 0.079
Ca: 0.045 0.900 0.085
Ca: 0.406 0.347 0.830
Ca: 0.421 0.819 0.833
Ca: 0.579 0.181 0.167
Ca: 0.594 0.653 0.170
Ca: 0.955 0.100 0.915
Ca: 0.972 0.613 0.921
Al: 0.252 0.525 0.924
Al: 0.259 0.020 0.918
Al: 0.330 0.309 0.073
Al: 0.340 0.817 0.086
Al: 0.660 0.183 0.914
Al: 0.670 0.691 0.927
Al: 0.741 0.980 0.082
Al: 0.748 0.475 0.076
Fe: 0.003 0.093 0.630
Fe: 0.070 0.787 0.645
Fe: 0.104 0.687 0.228
Fe: 0.123 0.179 0.228
Fe: 0.127 0.479 0.635
Fe: 0.187 0.469 0.372
Fe: 0.257 0.251 0.513
Fe: 0.257 0.756 0.513
Fe: 0.327 0.038 0.654
Fe: 0.373 0.029 0.370
Fe: 0.424 0.714 0.353
Fe: 0.491 0.411 0.363
Fe: 0.509 0.589 0.637
Fe: 0.576 0.286 0.647
Fe: 0.627 0.971 0.630
Fe: 0.673 0.962 0.346
Fe: 0.743 0.244 0.487
Fe: 0.743 0.749 0.487
Fe: 0.813 0.531 0.628
Fe: 0.873 0.521 0.365
Fe: 0.877 0.821 0.772
Fe: 0.896 0.313 0.772
Fe: 0.930 0.213 0.355
Fe: 0.997 0.907 0.370
O: 0.001 0.806 0.242
O: 0.017 0.305 0.249
O: 0.065 0.106 0.374
O: 0.068 0.455 0.910
O: 0.072 0.957 0.902
O: 0.075 0.595 0.375
O: 0.132 0.368 0.500
O: 0.140 0.877 0.518
O: 0.160 0.253 0.090
O: 0.170 0.763 0.103
O: 0.188 0.674 0.638
O: 0.207 0.159 0.642
O: 0.230 0.568 0.246
O: 0.240 0.068 0.245
O: 0.256 0.469 0.783
O: 0.258 0.945 0.776
O: 0.301 0.343 0.376
O: 0.308 0.831 0.374
O: 0.317 0.703 0.960
O: 0.338 0.201 0.958
O: 0.370 0.632 0.500
O: 0.371 0.470 0.036
O: 0.375 0.976 0.045
O: 0.379 0.133 0.519
O: 0.435 0.912 0.641
O: 0.450 0.396 0.641
O: 0.470 0.320 0.217
O: 0.482 0.809 0.225
O: 0.518 0.191 0.775
O: 0.530 0.680 0.783
O: 0.550 0.604 0.359
O: 0.565 0.088 0.359
O: 0.621 0.867 0.481
O: 0.625 0.024 0.955
O: 0.629 0.530 0.964
O: 0.630 0.368 0.500
O: 0.662 0.799 0.042
O: 0.683 0.297 0.040
O: 0.692 0.169 0.626
O: 0.699 0.657 0.624
O: 0.742 0.055 0.224
O: 0.744 0.531 0.217
O: 0.760 0.932 0.755
O: 0.770 0.432 0.754
O: 0.793 0.841 0.358
O: 0.812 0.326 0.362
O: 0.830 0.237 0.897
O: 0.840 0.747 0.910
O: 0.860 0.123 0.482
O: 0.868 0.632 0.500
O: 0.925 0.405 0.625
O: 0.928 0.043 0.098
O: 0.932 0.545 0.090
O: 0.935 0.894 0.626
O: 0.983 0.695 0.751
O: 0.999 0.194 0.758

Properties
The crystal system is triclinic. The space-group type is P-1 (2).



6.
Below is an optimized crystal structure of Ca8Al11FeSi12O52, with properties calculated at the PBE with a Hubbard U level.

a b c (Å): 8.937 5.669 18.627
angles (deg): 90.00 90.66 90.00
Sites, in units of the cell vectors:
Ca: 0.000 0.000 0.000
Ca: 0.074 0.500 0.286
Ca: 0.197 0.000 0.632
Ca: 0.273 0.500 0.921
Ca: 0.498 0.000 0.500
Ca: 0.573 0.500 0.786
Ca: 0.700 0.000 0.134
Ca: 0.775 0.500 0.420
Al: 0.137 0.250 0.460
Al: 0.137 0.750 0.460
Al: 0.216 0.500 0.094
Al: 0.387 0.250 0.210
Al: 0.387 0.750 0.210
Al: 0.558 0.000 0.326
Al: 0.638 0.251 0.961
Al: 0.638 0.749 0.961
Al: 0.715 0.500 0.593
Al: 0.884 0.251 0.709
Al: 0.884 0.749 0.709
Fe: 0.062 0.000 0.823
Si: 0.072 0.000 0.187
Si: 0.201 0.500 0.733
Si: 0.346 0.500 0.574
Si: 0.360 0.000 0.052
Si: 0.413 0.500 0.368
Si: 0.435 0.000 0.847
Si: 0.570 0.000 0.686
Si: 0.701 0.500 0.234
Si: 0.847 0.500 0.075
Si: 0.860 0.000 0.551
Si: 0.912 0.500 0.870
Si: 0.927 0.000 0.346
O: 0.008 0.235 0.380
O: 0.008 0.765 0.380
O: 0.017 0.271 0.890
O: 0.017 0.729 0.890
O: 0.019 0.500 0.489
O: 0.021 0.000 0.508
O: 0.024 0.500 0.064
O: 0.098 0.256 0.729
O: 0.098 0.744 0.729
O: 0.174 0.244 0.190
O: 0.174 0.756 0.190
O: 0.253 0.500 0.412
O: 0.255 0.000 0.431
O: 0.257 0.235 0.034
O: 0.257 0.765 0.034
O: 0.260 0.000 0.865
O: 0.264 0.266 0.540
O: 0.264 0.734 0.540
O: 0.306 0.500 0.660
O: 0.314 0.500 0.800
O: 0.356 0.500 0.282
O: 0.384 0.000 0.274
O: 0.390 0.500 0.146
O: 0.418 0.000 0.138
O: 0.455 0.000 0.620
O: 0.467 0.000 0.760
O: 0.516 0.236 0.879
O: 0.516 0.764 0.879
O: 0.517 0.266 0.386
O: 0.517 0.500 0.989
O: 0.517 0.734 0.386
O: 0.520 0.000 0.008
O: 0.523 0.500 0.562
O: 0.600 0.256 0.231
O: 0.600 0.744 0.231
O: 0.671 0.245 0.688
O: 0.671 0.755 0.688
O: 0.750 0.000 0.358
O: 0.753 0.500 0.913
O: 0.756 0.000 0.932
O: 0.756 0.235 0.533
O: 0.756 0.765 0.533
O: 0.765 0.266 0.041
O: 0.765 0.734 0.041
O: 0.805 0.500 0.161
O: 0.816 0.500 0.300
O: 0.856 0.500 0.783
O: 0.874 0.000 0.772
O: 0.888 0.500 0.646
O: 0.916 0.000 0.637
O: 0.957 0.000 0.121
O: 0.969 0.000 0.260

Properties
The crystal system is monoclinic. The space-group type is Pm (6).



Number 1: ΔE_f -3.1282 eV/atom, E (MP2020) -7.7789 eV/atom, E_tot -439.75 eV per formula unit. Number 2: ΔE_f -2.9218 eV/atom, E (MP2020) -7.4736 eV/atom, E_tot -61.57 eV per formula unit. Number 3: ΔE_f -2.9047 eV/atom, E (MP2020) -7.4566 eV/atom, E_tot -61.42 eV per formula unit. Number 4: ΔE_f -2.7830 eV/atom, E (MP2020) -7.4661 eV/atom, E_tot -243.76 eV per formula unit. Number 5: ΔE_f -2.3223 eV/atom, E (MP2020) -7.8053 eV/atom, E_tot -82.09 eV per formula unit. Number 6: ΔE_f -3.2373 eV/atom, E (MP2020) -7.8577 eV/atom, E_tot -622.07 eV per formula unit.